Record 1
A geometry-optimized Mo2WSe4S2 structure. Source: the Materials Project database, functional GGA-PBE.

Cell lengths 3.279, 3.279, 30.188 Å; angles 90.00, 90.00, 120.00 degrees
Sites, in units of the cell vectors:
Se (0.333, 0.667, 0.635)
Mo (0.000, 0.000, 0.116)
Se (0.333, 0.667, 0.522)
Se (0.000, 0.000, 0.403)
Mo (0.333, 0.667, 0.347)
S (0.333, 0.667, 0.065)
W (0.000, 0.000, 0.578)
S (0.333, 0.667, 0.167)
Se (0.000, 0.000, 0.291)

Formation energy from the elements ... -0.80 eV per atom
Energy above the most stable polymorph in this dataset ... 0.0226 eV/atom


Record 2
A geometry-optimized MoWSe3S structure. Source: the Materials Project database, functional GGA-PBE.

Cell lengths 3.291, 3.291, 37.423 Å; angles 90.00, 90.00, 120.00 degrees
Sites, in units of the cell vectors:
Se (0.333, 0.667, 0.515)
S (0.333, 0.667, 0.135)
S (0.333, 0.667, 0.053)
Se (0.000, 0.000, 0.703)
Se (0.000, 0.000, 0.613)
Se (0.000, 0.000, 0.237)
Mo (0.000, 0.000, 0.094)
W (0.333, 0.667, 0.282)
Se (0.333, 0.667, 0.424)
W (0.000, 0.000, 0.470)
Se (0.000, 0.000, 0.327)
Mo (0.333, 0.667, 0.658)

Formation energy from the elements ... -0.74 eV per atom
Energy above the most stable polymorph in this dataset ... 0.0171 eV/atom


Record 3
A geometry-optimized MoWSe3S structure. Source: the Materials Project database, functional GGA-PBE.

Cell lengths 3.292, 3.292, 37.411 Å; angles 90.00, 90.00, 120.00 degrees
Sites, in units of the cell vectors:
Se (0.333, 0.667, 0.515)
W (0.000, 0.000, 0.094)
Se (0.000, 0.000, 0.612)
S (0.000, 0.000, 0.241)
Mo (0.333, 0.667, 0.282)
Se (0.000, 0.000, 0.703)
Se (0.333, 0.667, 0.425)
Mo (0.000, 0.000, 0.470)
Se (0.333, 0.667, 0.049)
S (0.000, 0.000, 0.323)
W (0.333, 0.667, 0.658)
Se (0.333, 0.667, 0.139)

Formation energy from the elements ... -0.74 eV per atom
Energy above the most stable polymorph in this dataset ... 0.0167 eV/atom


Total magnetization
In order: 0.0001; 0.0000; 0.0000
Unit: μB per atom